<a>
The following is a DFT calculation (PBE) of a geometry-optimized TeMoWSeS2 structure.

Output
crystal system: trigonal

abc: 3.306 3.306 37.618
angles: 90.00 90.00 120.00
Fractional positions:
S 0.667 0.333 0.135
Se 0.333 0.667 0.702
Mo 0.667 0.333 0.282
W 0.667 0.333 0.658
Mo 0.333 0.667 0.094
W 0.333 0.667 0.470
Te 0.333 0.667 0.231
S 0.667 0.333 0.429
Se 0.333 0.667 0.613
Te 0.333 0.667 0.333
S 0.667 0.333 0.510
S 0.667 0.333 0.053

***

<b>
The following is a DFT calculation (PBE) of a geometry-optimized TeMoWSeS2 structure.

Output
crystal system: trigonal

abc: 3.311 3.311 37.740
angles: 90.00 90.00 120.00
Fractional positions:
Se 0.000 0.000 0.702
S 0.333 0.667 0.053
Se 0.000 0.000 0.613
S 0.000 0.000 0.322
Mo 0.333 0.667 0.282
Mo 0.000 0.000 0.094
Te 0.333 0.667 0.520
S 0.333 0.667 0.134
W 0.000 0.000 0.470
W 0.333 0.667 0.658
Te 0.333 0.667 0.419
S 0.000 0.000 0.241

***

Each structure's energy above the most stable one, in meV/atom: <a> 0; <b> 38.

***

<a>
The following is a DFT calculation (PBE) of a geometry-optimized Ba structure.

Output
crystal system: cubic

abc: 4.491 4.491 4.491
angles: 60.00 60.00 60.00
Fractional positions:
Ba 0.000 0.000 0.000

***

<b>
The following is a DFT calculation (PBE) of a geometry-optimized Ba structure.

Output
crystal system: hexagonal

abc: 4.285 4.285 3.975
angles: 90.00 90.00 120.00
Fractional positions:
Ba 0.000 0.000 0.000

***

Each structure's energy above the most stable one, in meV/atom: <a> 0; <b> 162.

***

<a>
The following is a DFT calculation (PBE) of a geometry-optimized MgMoW2Se4S2 structure.

Output
crystal system: trigonal

abc: 3.285 3.285 37.314
angles: 90.00 90.00 120.00
Fractional positions:
Mo 0.667 0.333 0.354
Se 0.667 0.334 0.624
Se 0.666 0.333 0.153
S 0.333 0.667 0.395
Se 0.667 0.333 0.062
S 0.333 0.667 0.313
Mg 0.000 0.000 0.241
W 0.333 0.666 0.107
Se 0.667 0.333 0.533
W 0.333 0.667 0.579

***

<b>
The following is a DFT calculation (PBE) of a geometry-optimized MgMoW2Se4S2 structure.

Output
crystal system: trigonal

abc: 3.277 3.277 37.893
angles: 90.00 90.00 120.00
Fractional positions:
Se 0.667 0.333 0.160
Se 0.667 0.333 0.542
W 0.333 0.667 0.587
Se 0.667 0.333 0.632
Mg 0.000 0.000 0.457
Mo 0.333 0.666 0.116
S 0.333 0.667 0.379
W 0.667 0.333 0.338
Se 0.667 0.333 0.071
S 0.333 0.667 0.298

***

<c>
The following is a DFT calculation (PBE) of a geometry-optimized MgMoW2Se4S2 structure.

Output
crystal system: monoclinic

abc: 3.279 3.279 37.175
angles: 88.26 91.73 120.02
Fractional positions:
Se 0.678 0.322 0.624
S 0.312 0.688 0.316
Se 0.657 0.343 0.532
W 0.334 0.666 0.578
W 0.656 0.345 0.358
Mo 0.333 0.666 0.110
S 0.332 0.668 0.399
Mg 0.669 0.331 0.233
Se 0.677 0.322 0.155
Se 0.656 0.344 0.064

***

Each structure's energy above the most stable one, in meV/atom: <a> 25; <b> 12; <c> 0.

***

<a>
The following is a DFT calculation (PBE) of a geometry-optimized Ba2SrI6 structure.

Output
crystal system: monoclinic

abc: 9.330 9.330 10.453
angles: 88.85 88.85 120.00
Fractional positions:
Sr 0.952 0.048 0.750
I 0.193 0.949 0.948
Sr 0.048 0.952 0.250
I 0.949 0.193 0.448
I 0.350 0.308 0.648
Ba 0.718 0.389 0.508
Ba 0.611 0.282 0.992
I 0.986 0.557 0.212
I 0.557 0.986 0.712
I 0.807 0.051 0.052
I 0.692 0.650 0.852
Ba 0.282 0.611 0.492
I 0.650 0.692 0.352
I 0.014 0.443 0.788
I 0.051 0.807 0.552
I 0.443 0.014 0.288
Ba 0.389 0.718 0.008
I 0.308 0.350 0.148

***

<b>
The following is a DFT calculation (PBE) of a geometry-optimized Ba2SrI6 structure.

Output
crystal system: trigonal

abc: 14.591 14.591 7.878
angles: 90.00 90.00 120.00
Fractional positions:
Ba 0.305 0.000 0.500
I 0.786 0.915 0.762
I 0.915 0.786 0.238
I 0.214 0.130 0.238
I 0.463 0.585 0.741
I 0.878 0.415 0.259
Ba 0.639 0.000 0.000
Sr 0.000 0.000 0.000
Sr 0.333 0.667 0.495
Sr 0.667 0.333 0.505
I 0.415 0.878 0.741
I 0.225 0.453 0.252
I 0.547 0.772 0.252
Ba 0.000 0.305 0.500
I 0.775 0.228 0.748
Ba 0.000 0.639 0.000
I 0.130 0.214 0.762
I 0.537 0.122 0.259
I 0.870 0.085 0.238
I 0.228 0.775 0.252
I 0.122 0.537 0.741
Ba 0.361 0.361 0.000
I 0.453 0.225 0.748
Ba 0.695 0.695 0.500
I 0.085 0.870 0.762
I 0.585 0.463 0.259
I 0.772 0.547 0.748

***

Each structure's energy above the most stable one, in meV/atom: <a> 38; <b> 0.